Y5Ir3 PBE-GGA relaxed; calculated formation energy = -739 meV per atom; polymorph energy (0 for the lowest one) = 40 meV per atom; space group = No. 193
1.0
8.3500 0.0000 0.0000
-4.1750 7.2313 0.0000
0.0000 0.0000 6.2488
Y Ir
10 6
Direct
0.3333 0.6667 0.0000 Y
0.2585 0.0000 0.2500 Y
0.0000 0.2585 0.2500 Y
0.6667 0.3333 0.5000 Y
0.3333 0.6667 0.5000 Y
0.6667 0.3333 0.0000 Y
0.7415 0.0000 0.7500 Y
0.2585 0.2585 0.7500 Y
0.0000 0.7415 0.7500 Y
0.7415 0.7415 0.2500 Y
0.3910 0.3910 0.2500 Ir
0.6090 0.0000 0.2500 Ir
0.0000 0.6090 0.2500 Ir
0.6090 0.6090 0.7500 Ir
0.3910 0.0000 0.7500 Ir
0.0000 0.3910 0.7500 Ir